(1)
The following is a GGA+U calculation of a geometry-optimized Mg2Cr2Si3O12 structure, from the Materials Project database.

Cell lengths 11.688, 11.688, 11.699 Å; angles 90.00, 90.00, 90.00 degrees
Space group I4_1/acd (No. 142, origin choice 2)
One atom of each set of equivalent atoms:
1 Mg 0.122 0.000 0.250 x16
2 Cr 0.000 0.000 0.000 x16
3 Si 0.000 0.250 0.375 x8
4 Si 0.125 0.000 0.750 x16
5 O 0.033 0.045 0.654 x32
6 O 0.054 0.149 0.959 x32
7 O 0.156 0.032 0.448 x32

Properties
energy of formation from the pure elements	-2749	meV/atom
density	3.6	g/cm3
volume	10.513	Å³ per atom
E_tot	-7.27	eV/atom

(2)
The following is a GGA+U calculation of a geometry-optimized Ca8Mn8O21 structure, from the Materials Project database.

Cell lengths 7.650, 7.764, 7.727 Å; angles 90.00, 93.02, 90.00 degrees
Space group Pm (No. 6)
One atom of each set of equivalent atoms:
1 Ca 0.000 0.234 0.000 x2
2 Ca 0.447 0.243 0.485 x2
3 Ca 0.459 0.234 0.967 x2
4 Ca 0.966 0.252 0.483 x2
5 Mn 0.183 0.500 0.739 x1
6 Mn 0.198 0.000 0.735 x1
7 Mn 0.207 0.000 0.241 x1
8 Mn 0.224 0.500 0.246 x1
9 Mn 0.690 0.000 0.727 x1
10 Mn 0.701 0.500 0.219 x1
11 Mn 0.711 0.000 0.233 x1
12 Mn 0.714 0.500 0.756 x1
13 O 0.183 0.500 0.989 x1
14 O 0.199 0.252 0.746 x2
15 O 0.205 0.000 0.485 x1
16 O 0.215 0.000 0.992 x1
17 O 0.236 0.500 0.500 x1
18 O 0.241 0.244 0.232 x2
19 O 0.444 0.000 0.743 x1
20 O 0.481 0.500 0.314 x1
21 O 0.597 0.500 0.964 x1
22 O 0.645 0.000 0.467 x1
23 O 0.668 0.265 0.711 x2
24 O 0.672 0.000 0.990 x1
25 O 0.698 0.248 0.241 x2
26 O 0.925 0.500 0.646 x1
27 O 0.943 0.000 0.734 x1
28 O 0.957 0.000 0.225 x1
29 O 0.959 0.500 0.243 x1

Properties
energy of formation from the pure elements	-2489	meV/atom
energy above the lowest structure with this stoichiometry	0.033	eV/atom
density	4.0	g/cm3
volume	12.387	Å³ per atom
E_tot	-6.96	eV/atom

(3)
The following is a GGA+U calculation of a geometry-optimized MnV2HPb2O9 structure, from the Materials Project database.

Cell lengths 7.793, 6.335, 8.787 Å; angles 90.00, 110.21, 90.00 degrees
Space group P2_1/m (No. 11)
One atom of each set of equivalent atoms:
1 Mn 0.000 0.000 0.000 x2
2 V 0.038 0.250 0.338 x2
3 V 0.447 0.250 0.174 x2
4 H 0.263 0.750 0.019 x2
5 Pb 0.281 0.250 0.751 x2
6 Pb 0.337 0.750 0.417 x2
7 O 0.016 0.517 0.785 x4
8 O 0.085 0.750 0.536 x2
9 O 0.166 0.750 0.071 x2
10 O 0.211 0.250 0.064 x2
11 O 0.266 0.250 0.458 x2
12 O 0.443 0.750 0.965 x2
13 O 0.487 0.527 0.698 x4

Properties
energy of formation from the pure elements	-2039	meV/atom
density	5.8	g/cm3
volume	13.569	Å³ per atom
E_tot	-6.80	eV/atom

Question: The highest density belongs to which entry?
Answer: MnV2HPb2O9